1.
Material: Mg3MnO4
Method: DFT, GGA+U
State: optimized geometry

a b c (Å): 4.337 4.337 4.337
angles (deg): 90.00 90.00 90.00
Element x y z (fractional)
Mg  0.000  0.500  0.500
Mg  0.500  0.000  0.500
Mg  0.500  0.500  0.000
Mn  0.000  0.000  0.000
O  0.500  0.000  0.000
O  0.500  0.500  0.500
O  0.000  0.000  0.500
O  0.000  0.500  0.000

**Formation enthalpy at 0 K**: -2.7512 eV/atom
**Symmetry**: Pm-3m
**VASP energy**: -6.4185 eV/atom

***

2.
Material: Mg2Mn3O8
Method: DFT, GGA+U
State: optimized geometry

a b c (Å): 5.967 5.967 5.967
angles (deg): 58.84 58.84 58.84
Element x y z (fractional)
Mg  0.119  0.119  0.119
Mg  0.500  0.500  0.500
Mn  0.502  0.993  0.502
Mn  0.502  0.502  0.993
Mn  0.993  0.502  0.502
O  0.261  0.261  0.261
O  0.710  0.256  0.256
O  0.256  0.256  0.710
O  0.256  0.710  0.256
O  0.747  0.747  0.297
O  0.747  0.297  0.747
O  0.297  0.747  0.747
O  0.735  0.735  0.735

**Formation enthalpy at 0 K**: -2.2081 eV/atom
**Symmetry**: R3m
**Maximum piezoelectric response**: 0.75 C/m2
**VASP energy**: -6.8058 eV/atom

***

3.
Material: Mg3MnO4
Method: DFT, GGA+U
State: optimized geometry

a b c (Å): 6.120 9.681 6.120
angles (deg): 71.58 90.00 108.42
Element x y z (fractional)
Mg  0.250  0.500  0.750
Mg  0.000  0.000  0.500
Mg  0.750  0.500  0.250
Mg  0.500  0.000  0.000
Mg  0.125  0.750  0.875
Mg  0.875  0.250  0.625
Mg  0.625  0.750  0.375
Mg  0.375  0.250  0.125
Mg  0.125  0.750  0.375
Mg  0.875  0.250  0.125
Mg  0.625  0.750  0.875
Mg  0.375  0.250  0.625
Mn  0.500  0.000  0.500
Mn  0.250  0.500  0.250
Mn  0.750  0.500  0.750
Mn  0.000  0.000  0.000
O  0.500  0.500  0.500
O  0.250  0.000  0.250
O  0.000  0.500  0.000
O  0.750  0.000  0.750
O  0.500  0.500  0.000
O  0.250  0.000  0.750
O  0.000  0.500  0.500
O  0.750  0.000  0.250
O  0.879  0.759  0.621
O  0.629  0.259  0.371
O  0.379  0.759  0.121
O  0.129  0.259  0.871
O  0.371  0.741  0.629
O  0.121  0.241  0.379
O  0.871  0.741  0.129
O  0.621  0.241  0.879

**Formation enthalpy at 0 K**: -2.7647 eV/atom
**VASP energy**: -6.4320 eV/atom

***

4.
Material: MgMnO3
Method: DFT, GGA+U
State: optimized geometry

a b c (Å): 3.736 3.736 3.736
angles (deg): 90.00 90.00 90.00
Element x y z (fractional)
Mg  0.000  0.000  0.000
Mn  0.500  0.500  0.500
O  0.500  0.500  0.000
O  0.500  0.000  0.500
O  0.000  0.500  0.500

**Formation enthalpy at 0 K**: -1.8816 eV/atom
**Symmetry**: Pm-3m
**VASP energy**: -6.2570 eV/atom

***

5.
Material: Mg2Mn3O8
Method: DFT, GGA+U
State: optimized geometry

a b c (Å): 6.443 6.443 8.415
angles (deg): 90.00 90.00 125.85
Element x y z (fractional)
Mg  0.859  0.141  0.606
Mg  0.641  0.359  0.106
Mg  0.359  0.641  0.894
Mg  0.141  0.859  0.394
Mn  0.127  0.373  0.250
Mn  0.373  0.127  0.750
Mn  0.000  0.000  0.000
Mn  0.500  0.500  0.500
Mn  0.873  0.627  0.750
Mn  0.627  0.873  0.250
O  0.384  0.154  0.526
O  0.154  0.384  0.474
O  0.346  0.116  0.974
O  0.116  0.346  0.026
O  0.003  0.997  0.764
O  0.729  0.271  0.762
O  0.771  0.229  0.262
O  0.229  0.771  0.738
O  0.997  0.003  0.236
O  0.497  0.503  0.264
O  0.271  0.729  0.238
O  0.503  0.497  0.736
O  0.884  0.654  0.974
O  0.654  0.884  0.026
O  0.846  0.616  0.526
O  0.616  0.846  0.474

**Formation enthalpy at 0 K**: -2.1979 eV/atom
**Symmetry**: Cmce
**VASP energy**: -6.7956 eV/atom

***

6.
Material: MgMn2O3
Method: DFT, GGA+U
State: optimized geometry

a b c (Å): 3.123 5.380 7.685
angles (deg): 89.86 90.00 90.00
Element x y z (fractional)
Mg  0.000  0.000  0.000
Mg  0.500  0.500  0.000
Mn  0.000  0.666  0.329
Mn  0.500  0.834  0.671
Mn  0.500  0.166  0.329
Mn  0.000  0.334  0.671
O  0.000  0.000  0.500
O  0.500  0.500  0.500
O  0.500  0.167  0.845
O  0.000  0.667  0.845
O  0.000  0.333  0.155
O  0.500  0.833  0.155

**Formation enthalpy at 0 K**: -2.3248 eV/atom
**VASP energy**: -7.2200 eV/atom

***

7.
Material: Mg2Mn2O5
Method: DFT, GGA+U
State: optimized geometry

a b c (Å): 3.626 5.274 10.678
angles (deg): 90.00 90.00 90.00
Element x y z (fractional)
Mg  0.500  0.256  0.906
Mg  0.500  0.744  0.094
Mg  0.500  0.756  0.594
Mg  0.500  0.244  0.406
Mn  0.000  0.224  0.636
Mn  0.000  0.776  0.364
Mn  0.000  0.276  0.136
Mn  0.000  0.724  0.864
O  0.000  0.500  0.500
O  0.000  0.142  0.315
O  0.000  0.642  0.185
O  0.000  0.358  0.815
O  0.500  0.325  0.095
O  0.500  0.675  0.905
O  0.000  0.858  0.685
O  0.500  0.175  0.595
O  0.000  0.000  0.000
O  0.500  0.825  0.405

**Formation enthalpy at 0 K**: -2.2440 eV/atom
**Symmetry**: Pbam
**VASP energy**: -6.6322 eV/atom

***

8.
Material: Mg2Mn3O8
Method: DFT, GGA+U
State: optimized geometry

a b c (Å): 5.813 5.812 4.944
angles (deg): 76.79 103.21 120.31
Element x y z (fractional)
Mg  0.285  0.715  0.378
Mg  0.715  0.285  0.622
Mn  0.000  0.000  0.500
Mn  0.258  0.258  0.000
Mn  0.742  0.742  0.000
O  0.102  0.898  0.887
O  0.111  0.341  0.619
O  0.659  0.889  0.619
O  0.394  0.606  0.089
O  0.606  0.394  0.911
O  0.341  0.111  0.381
O  0.889  0.659  0.380
O  0.898  0.102  0.112

**Formation enthalpy at 0 K**: -2.2498 eV/atom
**Symmetry**: C2/m
**VASP energy**: -6.8476 eV/atom

***

9.
Material: Mg2Mn2O5
Method: DFT, GGA+U
State: optimized geometry

a b c (Å): 8.041 8.041 8.041
angles (deg): 142.22 141.45 55.08
Element x y z (fractional)
Mg  0.414  0.876  0.532
Mg  0.657  0.124  0.538
Mg  0.914  0.381  0.538
Mg  0.157  0.619  0.532
Mn  0.976  0.000  0.976
Mn  0.476  0.500  0.976
Mn  0.803  0.770  0.073
Mn  0.303  0.230  0.034
O  0.777  0.779  0.464
O  0.685  0.221  0.998
O  0.277  0.813  0.998
O  0.185  0.187  0.464
O  0.791  0.741  0.784
O  0.043  0.259  0.050
O  0.291  0.507  0.050
O  0.543  0.493  0.784
O  0.190  0.848  0.537
O  0.690  0.152  0.342

**Formation enthalpy at 0 K**: -2.3424 eV/atom
**Symmetry**: Ima2
**VASP energy**: -6.7305 eV/atom

***

10.
Material: Mg3Mn4O7
Method: DFT, GGA+U
State: optimized geometry

a b c (Å): 11.274 11.274 11.274
angles (deg): 164.09 157.43 27.73
Element x y z (fractional)
Mg  0.000  0.000  0.000
Mg  0.141  0.141  0.000
Mg  0.859  0.859  0.000
Mn  0.714  0.714  0.000
Mn  0.571  0.571  0.000
Mn  0.429  0.429  0.000
Mn  0.286  0.286  0.000
O  0.070  0.570  0.500
O  0.930  0.430  0.500
O  0.791  0.291  0.500
O  0.209  0.709  0.500
O  0.500  0.000  0.500
O  0.643  0.143  0.500
O  0.357  0.857  0.500

**Formation enthalpy at 0 K**: -2.3982 eV/atom
**Symmetry**: Immm
**VASP energy**: -7.0128 eV/atom

***

11.
Material: MgMnO3
Method: DFT, GGA+U
State: optimized geometry

a b c (Å): 5.464 5.464 5.464
angles (deg): 54.72 54.72 54.72
Element x y z (fractional)
Mg  0.140  0.140  0.140
Mg  0.860  0.860  0.860
Mn  0.342  0.342  0.342
Mn  0.658  0.658  0.658
O  0.059  0.721  0.454
O  0.454  0.059  0.721
O  0.721  0.454  0.059
O  0.279  0.546  0.941
O  0.546  0.941  0.279
O  0.941  0.279  0.546

**Formation enthalpy at 0 K**: -2.3718 eV/atom
**Symmetry**: R-3
**VASP energy**: -6.7472 eV/atom

***

12.
Material: MgMn4O9
Method: DFT, GGA+U
State: optimized geometry

a b c (Å): 8.490 8.490 4.788
angles (deg): 90.00 90.00 90.00
Element x y z (fractional)
Mg  0.000  0.500  0.906
Mg  0.500  0.000  0.094
Mn  0.910  0.782  0.388
Mn  0.782  0.090  0.612
Mn  0.282  0.590  0.388
Mn  0.410  0.282  0.612
Mn  0.090  0.218  0.388
Mn  0.718  0.410  0.388
Mn  0.590  0.718  0.612
Mn  0.218  0.910  0.612
O  0.000  0.000  0.500
O  0.500  0.500  0.500
O  0.278  0.935  0.955
O  0.565  0.778  0.955
O  0.435  0.222  0.955
O  0.722  0.065  0.955
O  0.222  0.565  0.045
O  0.935  0.722  0.045
O  0.065  0.278  0.045
O  0.778  0.435  0.045
O  0.893  0.293  0.536
O  0.207  0.393  0.536
O  0.793  0.607  0.536
O  0.107  0.707  0.536
O  0.393  0.793  0.464
O  0.293  0.107  0.464
O  0.707  0.893  0.464
O  0.607  0.207  0.464

**Formation enthalpy at 0 K**: -1.6346 eV/atom
**Symmetry**: P4/n
**VASP energy**: -6.6292 eV/atom

***

13.
Material: Mg2Mn9O13
Method: DFT, GGA+U
State: optimized geometry

a b c (Å): 3.039 5.331 17.147
angles (deg): 97.89 90.28 105.26
Element x y z (fractional)
Mg  0.225  0.434  0.228
Mg  0.775  0.566  0.772
Mn  0.500  0.000  0.500
Mn  0.647  0.293  0.041
Mn  0.353  0.707  0.959
Mn  0.751  0.498  0.416
Mn  0.249  0.502  0.584
Mn  0.940  0.874  0.128
Mn  0.060  0.126  0.872
Mn  0.995  0.984  0.327
Mn  0.005  0.016  0.673
O  0.000  0.000  0.000
O  0.853  0.706  0.228
O  0.147  0.294  0.772
O  0.300  0.593  0.067
O  0.700  0.407  0.933
O  0.591  0.182  0.145
O  0.409  0.818  0.855
O  0.631  0.261  0.308
O  0.369  0.739  0.692
O  0.393  0.786  0.393
O  0.607  0.214  0.607
O  0.135  0.256  0.465
O  0.865  0.744  0.535

**Formation enthalpy at 0 K**: -2.1055 eV/atom
**Symmetry**: P-1
**VASP energy**: -7.3571 eV/atom

***

14.
Material: Mg2Mn3O8
Method: DFT, GGA+U
State: optimized geometry

a b c (Å): 4.984 5.873 9.496
angles (deg): 90.00 90.00 90.00
Element x y z (fractional)
Mg  0.824  0.500  0.219
Mg  0.837  0.500  0.818
Mg  0.163  0.000  0.318
Mg  0.176  0.000  0.719
Mn  0.172  0.500  0.497
Mn  0.336  0.741  0.000
Mn  0.664  0.759  0.500
Mn  0.828  0.000  0.997
Mn  0.664  0.241  0.500
Mn  0.336  0.259  0.000
O  0.189  0.500  0.107
O  0.840  0.500  0.607
O  0.505  0.500  0.392
O  0.462  0.500  0.887
O  0.980  0.720  0.380
O  0.340  0.737  0.603
O  0.660  0.763  0.103
O  0.020  0.780  0.880
O  0.160  0.000  0.107
O  0.495  0.000  0.892
O  0.811  0.000  0.607
O  0.538  0.000  0.387
O  0.020  0.220  0.880
O  0.660  0.237  0.103
O  0.340  0.263  0.603
O  0.980  0.280  0.380

**Formation enthalpy at 0 K**: -2.2448 eV/atom
**Symmetry**: Pmn2_1
**VASP energy**: -6.8425 eV/atom

***

15.
Material: Mg2Mn3O6
Method: DFT, GGA+U
State: optimized geometry

a b c (Å): 7.996 7.996 5.466
angles (deg): 78.70 78.70 21.24
Element x y z (fractional)
Mg  0.176  0.176  0.412
Mg  0.824  0.824  0.588
Mn  0.000  0.000  0.500
Mn  0.647  0.647  0.914
Mn  0.353  0.353  0.086
O  0.408  0.408  0.413
O  0.592  0.592  0.587
O  0.900  0.900  0.865
O  0.100  0.100  0.135
O  0.770  0.770  0.261
O  0.230  0.230  0.739

**Formation enthalpy at 0 K**: -2.3042 eV/atom
**Symmetry**: C2/m
**VASP energy**: -6.9632 eV/atom